1.
CoSiO4: optimized geometry, PBE+U.

```
CoSiO4
1.0
10.138 0.000 0.000
0.000 7.530 0.000
0.000 0.000 5.374
Co Si O
4 4 16
Cartesian
1.793 0.162 0.000
3.276 3.927 2.687
6.862 3.603 0.000
8.345 7.368 2.687
0.969 5.989 2.686
4.100 2.224 5.373
6.038 5.306 2.686
9.169 1.541 5.373
0.663 1.554 5.177
1.341 6.414 4.227
1.599 4.507 2.403
1.631 7.091 1.668
3.437 3.325 4.355
3.470 0.742 5.090
3.728 2.649 1.540
4.406 5.320 2.490
5.732 2.211 5.177
6.410 4.881 4.227
6.668 6.788 2.403
6.700 4.205 1.668
8.506 0.440 4.355
8.539 3.023 5.090
8.797 1.116 1.540
9.475 5.976 2.490
```

Properties
Calculated formation energy: -1961 meV per atom
E (MP2020): -44.1 eV per formula unit
Space-group type: Pna2_1, No. 33

2.
CoSi2O6: optimized geometry, PBE+U.

```
CoSi2O6
1.0
4.663 -4.176 0.000
4.663 4.176 0.000
-1.756 0.000 4.986
Co Si O
2 4 12
Cartesian
3.346 3.436 3.739
4.224 -3.436 1.246
1.499 0.762 3.676
2.376 -0.762 1.184
5.193 0.762 3.802
6.071 -0.762 1.309
-0.097 0.713 3.157
1.963 2.284 4.021
0.780 -0.713 0.664
2.443 0.096 2.552
4.729 2.284 3.458
3.321 -0.096 0.059
4.249 0.096 4.926
2.841 -2.284 1.528
5.127 -0.096 2.434
6.789 0.713 4.321
5.607 -2.284 0.965
7.667 -0.713 1.829
```

Properties
Calculated formation energy: -2348 meV per atom
E (MP2020): -68.8 eV per formula unit
Space-group type: C2/c, No. 15

3.
CoSiO4: optimized geometry, PBE+U.

```
CoSiO4
1.0
-5.686 5.686 5.686
5.686 -5.686 5.686
5.686 5.686 -5.686
Co Si O
12 12 48
Cartesian
2.843 1.422 0.000
5.686 2.843 -1.422
1.422 0.000 2.843
7.108 0.000 2.843
0.000 2.843 1.422
2.843 -1.422 5.686
2.843 7.108 0.000
5.686 2.843 4.265
-1.422 5.686 2.843
4.265 5.686 2.843
0.000 2.843 7.108
2.843 4.265 5.686
8.529 1.422 0.000
5.686 -2.843 4.265
4.265 5.686 -2.843
4.265 0.000 2.843
2.843 4.265 0.000
5.686 2.843 1.422
0.000 2.843 4.265
2.843 1.422 5.686
1.422 5.686 2.843
1.422 0.000 8.529
0.000 8.529 1.422
-2.843 4.265 5.686
1.847 -0.347 0.747
6.683 3.590 -3.190
7.533 0.347 0.747
6.683 -2.096 3.190
5.340 -0.747 1.847
8.876 -0.996 2.096
0.747 1.847 -0.347
7.782 2.496 -0.996
3.590 3.190 -0.996
4.939 1.847 0.347
-0.347 0.747 1.847
3.190 -0.996 3.590
5.340 4.939 -1.847
3.190 0.996 2.096
3.590 -3.190 6.683
4.939 -1.847 5.340
2.096 3.190 0.996
6.433 3.839 0.347
3.190 6.683 -2.096
5.340 0.747 3.840
1.847 5.340 -0.747
6.683 2.096 2.496
0.996 2.096 3.190
1.847 0.347 4.939
3.840 5.340 0.747
4.690 3.590 2.496
-0.996 3.590 3.190
3.840 0.347 6.433
0.347 4.939 1.847
2.496 -0.996 7.782
-0.747 1.847 5.340
3.590 2.496 4.690
0.747 7.533 0.347
2.096 8.876 -0.996
2.496 4.690 3.590
0.347 0.747 7.533
2.496 6.683 2.096
6.033 4.939 3.839
0.747 3.840 5.340
2.096 2.496 6.683
-2.096 3.190 6.683
4.939 3.840 6.033
-3.190 6.683 3.590
0.347 6.433 3.840
-0.996 7.782 2.496
-1.847 5.340 4.939
-0.996 2.096 8.876
3.840 6.033 4.939
```

Properties
Calculated formation energy: -1655 meV per atom
E (MP2020): -42.3 eV per formula unit
Space-group type: Ia-3d, No. 230

4.
CoSi4O10: optimized geometry, PBE+U.

```
CoSi4O10
1.0
7.289 0.000 0.000
0.000 7.289 0.000
0.000 0.000 15.758
Co Si O
4 16 40
Cartesian
1.822 1.822 1.410
1.822 1.822 9.289
5.467 5.467 6.469
5.467 5.467 14.348
0.039 0.524 5.514
0.039 3.120 13.393
0.524 0.039 13.393
0.524 3.605 5.514
3.120 0.039 5.514
3.120 3.605 13.393
3.605 0.524 13.393
3.605 3.120 5.514
3.684 4.169 10.243
3.684 6.765 2.365
4.169 3.684 2.365
4.169 7.250 10.243
6.765 3.684 10.243
6.765 7.250 2.365
7.250 4.169 2.365
7.250 6.765 10.243
0.030 5.176 9.905
0.030 5.758 2.026
0.193 1.116 1.457
0.193 2.529 9.336
0.278 3.923 3.939
0.278 7.011 11.818
1.116 0.193 9.336
1.116 3.452 1.457
1.531 3.674 13.732
1.531 7.260 5.853
2.114 3.674 5.853
2.114 7.260 13.732
2.529 0.193 1.457
2.529 3.452 9.336
3.366 3.923 11.818
3.366 7.011 3.939
3.452 1.116 9.336
3.452 2.529 1.457
3.615 5.176 2.026
3.615 5.758 9.905
3.674 1.531 5.853
3.674 2.114 13.732
3.837 4.761 14.300
3.837 6.173 6.421
3.923 0.278 11.818
3.923 3.366 3.939
4.761 3.837 6.421
4.761 7.097 14.300
5.176 0.030 2.026
5.176 3.615 9.905
5.758 0.030 9.905
5.758 3.615 2.026
6.173 3.837 14.300
6.173 7.097 6.421
7.011 0.278 3.939
7.011 3.366 11.818
7.097 4.761 6.421
7.097 6.173 14.300
7.260 1.531 13.732
7.260 2.114 5.853
```

Properties
Calculated formation energy: -2688 meV per atom
E (MP2020): -118.6 eV per formula unit
Space-group type: P4/ncc, No. 130

- Which formula does entry 2 have?
  CoSi2O6

- What is the formula in the first record?
  CoSiO4

- What is the calculated formation energy in the first record?
  -1961 meV per atom